[1]
## LiFe8O12 (PBE+U)

Data for an optimized crystal structure of LiFe8O12. Values from VASP.

Results
space-group type = No. 1
volume = 10.3 A^3/atom
ΔE to the lowest computed polymorph = 2.89 eV per formula unit
energy of formation = -1.5270 eV per atom
raw total energy = -6.4200 eV per atom

Geometry as Quantum ESPRESSO input:
```
&SYSTEM
  ibrav = 0, nat = 21, ntyp = 3
/
ATOMIC_SPECIES
Li 6.94 Li.upf
Fe 55.84 Fe.upf
O 16.00 O.upf
ATOMIC_POSITIONS crystal
Li 0.000 0.000 0.000
Fe 0.047 0.638 0.099
Fe 0.052 0.786 0.573
Fe 0.058 0.250 0.765
Fe 0.060 0.267 0.305
Fe 0.536 0.199 0.064
Fe 0.546 0.731 0.790
Fe 0.552 0.773 0.293
Fe 0.562 0.286 0.565
O 0.202 0.150 0.524
O 0.204 0.888 0.816
O 0.243 0.980 0.181
O 0.365 0.466 0.199
O 0.404 0.376 0.836
O 0.408 0.646 0.528
O 0.685 0.833 0.031
O 0.702 0.130 0.337
O 0.753 0.014 0.682
O 0.848 0.516 0.681
O 0.895 0.312 0.012
O 0.899 0.626 0.348
CELL_PARAMETERS angstrom
5.151 0.000 0.000
-0.032 5.435 0.000
-0.004 -0.413 7.706
```


[2]
## Li3Mn4O8 (PBE+U)

Data for an optimized crystal structure of Li3Mn4O8. Values from VASP.

Results
space-group type = No. 12
volume = 9.8 A^3/atom
ΔE to the lowest computed polymorph = 0.57 eV per formula unit
energy of formation = -2.0579 eV per atom
raw total energy = -6.7106 eV per atom

Geometry as Quantum ESPRESSO input:
```
&SYSTEM
  ibrav = 0, nat = 15, ntyp = 3
/
ATOMIC_SPECIES
Li 6.94 Li.upf
Mn 54.94 Mn.upf
O 16.00 O.upf
ATOMIC_POSITIONS crystal
Li 0.000 0.000 0.000
Li 0.232 0.768 0.500
Li 0.768 0.232 0.500
Mn 0.000 0.500 0.500
Mn 0.292 0.292 0.032
Mn 0.500 0.000 0.500
Mn 0.708 0.708 0.968
O 0.004 0.522 0.822
O 0.078 0.078 0.355
O 0.428 0.428 0.649
O 0.478 0.996 0.178
O 0.522 0.004 0.822
O 0.572 0.572 0.351
O 0.922 0.922 0.645
O 0.996 0.478 0.178
CELL_PARAMETERS angstrom
5.010 -2.869 0.000
5.010 2.869 0.000
-4.467 0.000 5.134
```


[3]
## NaCoBP2H4O11 (PBE+U)

Data for an optimized crystal structure of NaCoBP2H4O11. Values from VASP.

Results
space-group type = No. 178
volume = 10.4 A^3/atom
energy of formation = -1.9124 eV per atom
raw total energy = -6.1494 eV per atom

Geometry as Quantum ESPRESSO input:
```
&SYSTEM
  ibrav = 0, nat = 120, ntyp = 6
/
ATOMIC_SPECIES
Na 22.99 Na.upf
Co 58.93 Co.upf
B 10.81 B.upf
P 30.97 P.upf
H 1.01 H.upf
O 16.00 O.upf
ATOMIC_POSITIONS crystal
Na 0.193 0.386 0.250
Na 0.193 0.807 0.917
Na 0.386 0.193 0.083
Na 0.614 0.807 0.583
Na 0.807 0.193 0.417
Na 0.807 0.614 0.750
Co 0.106 0.553 0.083
Co 0.447 0.553 0.417
Co 0.447 0.894 0.750
Co 0.553 0.106 0.250
Co 0.553 0.447 0.917
Co 0.894 0.447 0.583
B 0.152 0.304 0.750
B 0.152 0.848 0.417
B 0.304 0.152 0.583
B 0.696 0.848 0.083
B 0.848 0.152 0.917
B 0.848 0.696 0.250
P 0.168 0.388 0.919
P 0.168 0.780 0.248
P 0.220 0.388 0.581
P 0.220 0.832 0.586
P 0.388 0.168 0.414
P 0.388 0.220 0.752
P 0.612 0.780 0.252
P 0.612 0.832 0.914
P 0.780 0.168 0.086
P 0.780 0.612 0.081
P 0.832 0.220 0.748
P 0.832 0.612 0.419
H 0.141 0.458 0.444
H 0.141 0.683 0.722
H 0.186 0.585 0.371
H 0.186 0.601 0.796
H 0.317 0.458 0.056
H 0.317 0.859 0.111
H 0.399 0.585 0.129
H 0.399 0.814 0.037
H 0.415 0.601 0.704
H 0.415 0.814 0.463
H 0.458 0.141 0.889
H 0.458 0.317 0.278
H 0.542 0.683 0.778
H 0.542 0.859 0.389
H 0.585 0.186 0.963
H 0.585 0.399 0.204
H 0.601 0.186 0.537
H 0.601 0.415 0.629
H 0.683 0.141 0.611
H 0.683 0.542 0.556
H 0.814 0.399 0.296
H 0.814 0.415 0.871
H 0.859 0.317 0.222
H 0.859 0.542 0.944
O 0.000 0.134 0.333
O 0.000 0.866 0.833
O 0.020 0.215 0.934
O 0.020 0.804 0.233
O 0.070 0.388 0.546
O 0.070 0.682 0.621
O 0.134 0.000 0.000
O 0.134 0.134 0.167
O 0.138 0.519 0.957
O 0.138 0.619 0.210
O 0.184 0.420 0.821
O 0.184 0.763 0.346
O 0.196 0.215 0.566
O 0.196 0.980 0.600
O 0.198 0.492 0.389
O 0.198 0.706 0.778
O 0.215 0.020 0.400
O 0.215 0.196 0.767
O 0.237 0.420 0.679
O 0.237 0.816 0.488
O 0.294 0.492 0.111
O 0.294 0.802 0.056
O 0.318 0.388 0.954
O 0.318 0.930 0.213
O 0.381 0.519 0.543
O 0.381 0.862 0.624
O 0.388 0.070 0.787
O 0.388 0.318 0.379
O 0.420 0.184 0.512
O 0.420 0.237 0.654
O 0.481 0.619 0.290
O 0.481 0.862 0.876
O 0.492 0.198 0.944
O 0.492 0.294 0.222
O 0.508 0.706 0.722
O 0.508 0.802 0.444
O 0.519 0.138 0.376
O 0.519 0.381 0.790
O 0.580 0.763 0.154
O 0.580 0.816 0.012
O 0.612 0.682 0.879
O 0.612 0.930 0.287
O 0.619 0.138 0.124
O 0.619 0.481 0.043
O 0.682 0.070 0.713
O 0.682 0.612 0.454
O 0.706 0.198 0.556
O 0.706 0.508 0.611
O 0.763 0.184 0.988
O 0.763 0.580 0.179
O 0.785 0.804 0.267
O 0.785 0.980 0.900
O 0.802 0.294 0.278
O 0.802 0.508 0.889
O 0.804 0.020 0.100
O 0.804 0.785 0.066
O 0.816 0.237 0.846
O 0.816 0.580 0.321
O 0.862 0.381 0.710
O 0.862 0.481 0.457
O 0.866 0.000 0.500
O 0.866 0.866 0.667
O 0.930 0.318 0.121
O 0.930 0.612 0.046
O 0.980 0.196 0.733
O 0.980 0.785 0.434
CELL_PARAMETERS angstrom
9.519 0.000 0.000
-4.760 8.244 0.000
0.000 0.000 15.962
```


[4]
## Li9Mn2Co5O16 (PBE+U)

Data for an optimized crystal structure of Li9Mn2Co5O16. Values from VASP.

Results
space-group type = No. 1
volume = 9.0 A^3/atom
ΔE to the lowest computed polymorph = 1.67 eV per formula unit
energy of formation = -1.8120 eV per atom
raw total energy = -5.8025 eV per atom

Geometry as Quantum ESPRESSO input:
```
&SYSTEM
  ibrav = 0, nat = 32, ntyp = 4
/
ATOMIC_SPECIES
Li 6.94 Li.upf
Mn 54.94 Mn.upf
Co 58.93 Co.upf
O 16.00 O.upf
ATOMIC_POSITIONS crystal
Li 0.000 0.000 0.000
Li 0.003 0.506 0.001
Li 0.134 0.441 0.256
Li 0.229 0.381 0.492
Li 0.242 0.872 0.495
Li 0.487 0.256 0.001
Li 0.497 0.752 0.999
Li 0.734 0.616 0.486
Li 0.750 0.125 0.501
Mn 0.368 0.814 0.747
Mn 0.611 0.194 0.249
Co 0.108 0.936 0.245
Co 0.368 0.314 0.749
Co 0.623 0.679 0.246
Co 0.869 0.063 0.746
Co 0.869 0.564 0.749
O 0.041 0.730 0.137
O 0.076 0.215 0.138
O 0.145 0.149 0.354
O 0.211 0.662 0.362
O 0.300 0.598 0.633
O 0.303 0.096 0.631
O 0.434 0.532 0.862
O 0.435 0.030 0.862
O 0.531 0.979 0.137
O 0.561 0.496 0.133
O 0.680 0.387 0.365
O 0.696 0.894 0.355
O 0.775 0.849 0.629
O 0.801 0.345 0.635
O 0.943 0.281 0.865
O 0.964 0.781 0.868
CELL_PARAMETERS angstrom
2.941 0.000 0.000
-0.434 10.134 0.000
-0.921 -4.329 9.662
```


[5]
## NaV6O11 (PBE+U)

Data for an optimized crystal structure of NaV6O11. Values from VASP.

Results
space-group type = No. 36
volume = 11.1 A^3/atom
ΔE to the lowest computed polymorph = 0.00 eV per formula unit
energy of formation = -2.4704 eV per atom
raw total energy = -7.6091 eV per atom

Geometry as Quantum ESPRESSO input:
```
&SYSTEM
  ibrav = 0, nat = 36, ntyp = 3
/
ATOMIC_SPECIES
Na 22.99 Na.upf
V 50.94 V.upf
O 16.00 O.upf
ATOMIC_POSITIONS crystal
Na 0.164 0.836 0.500
Na 0.836 0.164 0.000
V 0.001 0.501 0.234
V 0.001 0.999 0.235
V 0.169 0.831 0.982
V 0.498 0.502 0.881
V 0.499 0.501 0.089
V 0.499 0.999 0.234
V 0.501 0.001 0.734
V 0.501 0.499 0.589
V 0.502 0.498 0.381
V 0.831 0.169 0.482
V 0.999 0.001 0.735
V 0.999 0.499 0.734
O 0.152 0.333 0.156
O 0.155 0.337 0.812
O 0.171 0.829 0.822
O 0.172 0.828 0.146
O 0.198 0.343 0.484
O 0.323 0.677 0.656
O 0.326 0.674 0.310
O 0.333 0.152 0.656
O 0.337 0.155 0.312
O 0.340 0.660 0.985
O 0.343 0.198 0.984
O 0.657 0.802 0.484
O 0.660 0.340 0.485
O 0.663 0.845 0.812
O 0.667 0.848 0.156
O 0.674 0.326 0.810
O 0.677 0.323 0.156
O 0.802 0.657 0.984
O 0.828 0.172 0.646
O 0.829 0.171 0.322
O 0.845 0.663 0.312
O 0.848 0.667 0.656
CELL_PARAMETERS angstrom
2.921 -5.142 0.000
2.921 5.142 0.000
0.000 0.000 13.280
```


[6]
## Li3TiV3O8 (PBE+U)

Data for an optimized crystal structure of Li3TiV3O8. Values from VASP.

Results
space-group type = No. 14
volume = 10.2 A^3/atom
ΔE to the lowest computed polymorph = 0.00 eV per formula unit
energy of formation = -2.6729 eV per atom
raw total energy = -7.3304 eV per atom

Geometry as Quantum ESPRESSO input:
```
&SYSTEM
  ibrav = 0, nat = 30, ntyp = 4
/
ATOMIC_SPECIES
Li 6.94 Li.upf
Ti 47.87 Ti.upf
V 50.94 V.upf
O 16.00 O.upf
ATOMIC_POSITIONS crystal
Li 0.000 0.000 0.000
Li 0.000 0.500 0.500
Li 0.001 0.250 0.250
Li 0.001 0.250 0.750
Li 0.999 0.750 0.250
Li 0.999 0.750 0.750
Ti 0.500 0.000 0.000
Ti 0.500 0.500 0.500
V 0.499 0.249 0.749
V 0.499 0.251 0.249
V 0.500 0.000 0.500
V 0.500 0.500 0.000
V 0.501 0.749 0.751
V 0.501 0.751 0.251
O 0.270 0.001 0.258
O 0.270 0.499 0.758
O 0.281 0.236 0.008
O 0.281 0.264 0.508
O 0.282 0.000 0.768
O 0.282 0.500 0.268
O 0.284 0.742 0.508
O 0.284 0.758 0.008
O 0.716 0.242 0.992
O 0.716 0.258 0.492
O 0.718 0.000 0.232
O 0.718 0.500 0.732
O 0.719 0.736 0.492
O 0.719 0.764 0.992
O 0.730 0.501 0.242
O 0.730 0.999 0.742
CELL_PARAMETERS angstrom
6.041 0.000 0.000
0.000 5.982 0.000
-5.952 0.000 8.469
```


What did the first record say?
## LiFe8O12 (PBE+U)

Data for an optimized crystal structure of LiFe8O12. Values from VASP.

Results
space-group type = No. 1
volume = 10.3 A^3/atom
ΔE to the lowest computed polymorph = 2.89 eV per formula unit
energy of formation = -1.5270 eV per atom
raw total energy = -6.4200 eV per atom

Geometry as Quantum ESPRESSO input:
```
&SYSTEM
  ibrav = 0, nat = 21, ntyp = 3
/
ATOMIC_SPECIES
Li 6.94 Li.upf
Fe 55.84 Fe.upf
O 16.00 O.upf
ATOMIC_POSITIONS crystal
Li 0.000 0.000 0.000
Fe 0.047 0.638 0.099
Fe 0.052 0.786 0.573
Fe 0.058 0.250 0.765
Fe 0.060 0.267 0.305
Fe 0.536 0.199 0.064
Fe 0.546 0.731 0.790
Fe 0.552 0.773 0.293
Fe 0.562 0.286 0.565
O 0.202 0.150 0.524
O 0.204 0.888 0.816
O 0.243 0.980 0.181
O 0.365 0.466 0.199
O 0.404 0.376 0.836
O 0.408 0.646 0.528
O 0.685 0.833 0.031
O 0.702 0.130 0.337
O 0.753 0.014 0.682
O 0.848 0.516 0.681
O 0.895 0.312 0.012
O 0.899 0.626 0.348
CELL_PARAMETERS angstrom
5.151 0.000 0.000
-0.032 5.435 0.000
-0.004 -0.413 7.706
```


Look up the volume of the first one.
10.3 A^3/atom


Number 5 is which compound?
NaV6O11